VASP calculation (GGA-PBE) on Gd2AsO5 after structural relaxation.

It has space group P4/n (No. 85, origin choice 2), with a = 8.496 Å, b = 8.496 Å, c = 5.842 Å, α = 90.00°, β = 90.00° and γ = 90.00°. The inequivalent atoms are Gd at (0.099, 0.892, 0.249), As at (0.250, 0.250, 0.140), As at (0.250, 0.250, 0.544), O at (0.055, 0.161, 0.099), O at (0.056, 0.336, 0.606), O at (0.250, 0.750, 0.000) and O at (0.250, 0.750, 0.500).

The calculation puts the energy with MP2020 corrections at -10.297 eV per atom. As for the final energy: -9.868 eV/atom. The energy relative to the elements is -3.103 eV per atom.